1.
Here is a relaxed structure of VO2 from Materials Project. Energies are from GGA+U.

```
VO2
1.0
2.7380 -1.2163 0.3393
-3.6745 -7.7617 1.8334
0.1627 -2.4927 -10.2275
O V
16 8
direct
0.2501 0.9256 0.0712
0.7493 0.7910 0.8591
0.7500 0.9779 0.2822
0.7502 0.0732 0.9288
0.2500 0.2066 0.1345
0.2497 0.7090 0.3591
0.2499 0.1114 0.4795
0.7500 0.5744 0.5712
0.2497 0.0273 0.7161
0.2500 0.5221 0.7823
0.2502 0.4268 0.4288
0.7499 0.8886 0.5192
0.7500 0.2934 0.6345
0.7500 0.3886 0.9795
0.7499 0.4727 0.2161
0.2499 0.6114 0.0192
0.7502 0.5604 0.3875
0.2500 0.4213 0.1058
0.7499 0.0787 0.6058
0.2500 0.9242 0.3986
0.7500 0.0581 0.1175
0.2511 0.9396 0.8875
0.2500 0.4419 0.6175
0.7500 0.5757 0.8986
```

## Properties
Calculated density (g cm⁻³): 3.95
M_tot (μB per formula unit): 1.000
Volume (Å³/atom): 11.61
Formation energy from the elements (eV per atom): -2.41
Final energy (eV/atom): -7.711



2.
Here is a relaxed structure of V2O3 from Materials Project. Energies are from GGA+U.

```
V2O3
1.0
-0.1415 3.6085 6.5081
-3.5241 -1.7836 0.0526
1.7543 -2.6373 2.3601
V O
4 6
direct
0.6660 0.8209 0.4394
0.3340 0.1791 0.5606
0.8340 0.4394 0.8209
0.1660 0.5606 0.1791
0.1006 0.4093 0.6980
0.7500 0.9045 0.9045
0.3994 0.6980 0.4093
0.6006 0.3020 0.5907
0.8994 0.5907 0.3020
0.2500 0.0955 0.0955
```

## Properties
Calculated density (g cm⁻³): 4.45
M_tot (μB per formula unit): 4.000
Volume (Å³/atom): 11.18
Formation energy from the elements (eV per atom): -2.29
Final energy (eV/atom): -7.799



3.
Here is a relaxed structure of V3O5 from Materials Project. Energies are from GGA+U.

```
V3O5
1.0
-0.9534 -2.3316 -4.5242
1.7653 2.6918 -4.7233
4.6255 -5.1325 1.6719
O V
10 6
direct
0.8347 0.1304 0.3425
0.7023 0.5000 0.7500
0.0733 0.6624 0.9339
0.4652 0.8695 0.1575
0.7721 0.6630 0.4539
0.9352 0.3370 0.0462
0.3008 0.5000 0.2500
0.1458 0.8899 0.6692
0.2357 0.3376 0.5660
0.5357 0.1102 0.8308
0.4995 0.5016 0.0008
0.8708 0.7589 0.7225
0.8688 0.7607 0.2184
0.5011 0.4984 0.4992
0.1295 0.2392 0.2816
0.1297 0.2411 0.7775
```

## Properties
Calculated density (g cm⁻³): 4.44
M_tot (μB per formula unit): 5.000
Volume (Å³/atom): 10.87
Formation energy from the elements (eV per atom): -2.50
ΔE to the lowest computed polymorph (eV/atom): 0.023
Final energy (eV/atom): -7.931



4.
Here is a relaxed structure of V2O5 from Materials Project. Energies are from GGA+U.

```
V2O5
1.0
-11.2076 -4.9557 0.5593
4.3656 -11.5401 0.0399
1.0147 -0.0351 12.0168
V O
30 75
direct
0.3497 0.7964 0.3827
0.9372 0.6001 0.0826
0.4562 0.9992 0.5043
0.5028 0.9512 0.7859
0.2969 0.9935 0.9607
0.5512 0.1743 0.2131
0.4700 0.5481 0.3796
0.1123 0.9715 0.3442
0.9468 0.0665 0.9229
0.9038 0.1846 0.2945
0.1888 0.8111 0.7745
0.1004 0.6662 0.2999
0.7653 0.9263 0.7606
0.6476 0.7355 0.7164
0.4183 0.6200 0.0046
0.7476 0.9695 0.2796
0.1034 0.3782 0.3038
0.0457 0.2394 0.7358
0.6683 0.5194 0.5875
0.3928 0.6354 0.7166
0.7787 0.7302 0.4311
0.9606 0.8573 0.1120
0.3378 0.1204 0.3417
0.9655 0.8689 0.5813
0.6148 0.3459 0.8262
0.6840 0.5037 0.0551
0.2828 0.7789 0.1274
0.3173 0.4484 0.1680
0.8947 0.3530 0.5029
0.0627 0.4942 0.8387
0.8381 0.1752 0.1780
0.2123 0.0673 0.2969
0.5558 0.4900 0.4934
0.2931 0.9258 0.0948
0.9956 0.4093 0.4350
0.3410 0.5439 0.6441
0.6962 0.4284 0.1665
0.3946 0.7581 0.0164
0.5470 0.6071 0.2932
0.5315 0.8134 0.8048
0.8414 0.2672 0.4078
0.7174 0.8545 0.3651
0.4314 0.0115 0.3406
0.9080 0.7853 0.0133
0.8457 0.9116 0.1815
0.7480 0.7996 0.8213
0.0323 0.3454 0.8256
0.6179 0.2477 0.2989
0.1283 0.5277 0.3245
0.2293 0.8814 0.4094
0.3772 0.6544 0.4276
0.0066 0.9734 0.0328
0.3615 0.1254 0.4880
0.8369 0.9880 0.8652
0.0269 0.9393 0.4791
0.8639 0.9484 0.6516
0.5260 0.6562 0.6658
0.4343 0.9985 0.9029
0.3053 0.7608 0.7027
0.1921 0.3039 0.3801
0.4824 0.3448 0.8374
0.0699 0.7185 0.4168
0.0754 0.8938 0.2396
0.3916 0.3882 0.0780
0.1628 0.7172 0.8630
0.8092 0.0570 0.3604
0.6364 0.0005 0.7684
0.6681 0.2232 0.8070
0.5669 0.2200 0.0864
0.1650 0.7747 0.0629
0.0012 0.2879 0.2613
0.4307 0.9793 0.6631
0.2456 0.1146 0.9745
0.7925 0.5964 0.0509
0.2206 0.9277 0.8542
0.4001 0.8145 0.2554
0.6308 0.0318 0.2198
0.8938 0.1750 0.9723
0.9640 0.4968 0.1692
0.7276 0.6180 0.7005
0.8892 0.7657 0.5324
0.4050 0.5918 0.8643
0.3972 0.2077 0.2497
0.0009 0.7068 0.1820
0.5813 0.0308 0.5100
0.9470 0.2725 0.6189
0.0265 0.1064 0.8099
0.6370 0.4316 0.6929
0.5493 0.5866 0.0516
0.4428 0.8530 0.4799
0.0670 0.8310 0.6836
0.1898 0.3890 0.1763
0.0104 0.0796 0.3238
0.3894 0.4572 0.2995
0.2301 0.7231 0.2644
0.7875 0.4531 0.5382
0.0054 0.5671 0.9647
0.6780 0.8335 0.6251
0.1661 0.2311 0.6863
0.8403 0.6589 0.3392
0.1959 0.4998 0.8429
0.6821 0.4250 0.9384
0.3149 0.5927 0.1052
0.0120 0.5565 0.7244
0.6853 0.6510 0.4942
```

## Properties
Calculated density (g cm⁻³): 2.49
M_tot (μB per formula unit): 0.000
Volume (Å³/atom): 17.34
Formation energy from the elements (eV per atom): -2.18
Final energy (eV/atom): -7.334



5.
Here is a relaxed structure of V2O5 from Materials Project. Energies are from GGA+U.

```
V2O5
1.0
12.4232 0.0747 -0.6291
0.0427 12.9193 -0.3321
-0.6270 -0.2888 12.0688
O V
75 30
direct
0.1642 0.0200 0.0420
0.1813 0.3953 0.0843
0.8614 0.9671 0.2655
0.1947 0.7262 0.8207
0.7393 0.1745 0.1393
0.7882 0.7999 0.1502
0.9013 0.8783 0.9777
0.9561 0.0623 0.0930
0.7713 0.9302 0.7277
0.5921 0.6239 0.9683
0.6888 0.5018 0.3688
0.0507 0.3914 0.3248
0.2900 0.3562 0.9075
0.0754 0.5630 0.1943
0.0610 0.8794 0.1422
0.9502 0.5267 0.7316
0.0682 0.8989 0.8836
0.7941 0.6957 0.3398
0.6735 0.2961 0.3396
0.6464 0.0230 0.5709
0.2362 0.7088 0.1625
0.4072 0.7426 0.9090
0.3703 0.4924 0.4865
0.7764 0.1609 0.5057
0.7507 0.9900 0.0662
0.3838 0.9572 0.9730
0.3481 0.5638 0.9865
0.1012 0.9125 0.5537
0.3284 0.8921 0.1977
0.5596 0.0834 0.0373
0.9062 0.0008 0.5960
0.5394 0.5208 0.1426
0.5611 0.2933 0.0860
0.2027 0.0602 0.2701
0.2541 0.4277 0.6513
0.9756 0.7819 0.6712
0.9156 0.8428 0.4271
0.4156 0.9664 0.4805
0.2761 0.2155 0.6901
0.2045 0.6261 0.5561
0.8804 0.3440 0.4715
0.6946 0.3357 0.7412
0.0329 0.4939 0.5262
0.4743 0.1240 0.6598
0.3562 0.5956 0.7452
0.6932 0.8818 0.3415
0.5583 0.6944 0.7558
0.4902 0.4118 0.3000
0.7928 0.1391 0.7539
0.5210 0.8559 0.6191
0.7348 0.4105 0.1738
0.4918 0.7900 0.3709
0.8383 0.6255 0.5650
0.8071 0.5154 0.0086
0.4588 0.3232 0.7650
0.9399 0.3844 0.8967
0.7714 0.6493 0.7876
0.6394 0.6845 0.4865
0.2479 0.4381 0.2823
0.6079 0.1913 0.8697
0.6783 0.8154 0.9155
0.0806 0.3329 0.7444
0.1157 0.2898 0.5220
0.4744 0.9219 0.7038
0.9619 0.3917 0.1243
0.8761 0.1744 0.3127
0.9822 0.7013 0.8590
0.3575 0.1106 0.1340
0.3853 0.1574 0.8916
0.7642 0.2930 0.9719
0.1347 0.5066 0.8945
0.4012 0.6982 0.5520
0.3784 0.6089 0.3008
0.2907 0.7946 0.3808
0.4552 0.7170 0.1422
0.0940 0.4405 0.1975
0.6314 0.4098 0.2733
0.3701 0.4865 0.3386
0.9756 0.8841 0.5575
0.4116 0.8149 0.4678
0.1877 0.3194 0.6541
0.6496 0.6891 0.8584
0.7252 0.2448 0.8257
0.4882 0.6113 0.0610
0.0185 0.3824 0.4610
0.0632 0.7859 0.8078
0.3388 0.7600 0.2369
0.0199 0.4380 0.8174
0.8251 0.4052 0.0653
0.6367 0.2022 0.0342
0.4171 0.0761 0.0072
0.3166 0.6576 0.8644
0.8845 0.6545 0.7145
0.3279 0.5914 0.5877
0.8454 0.0748 0.1858
0.5084 0.0025 0.5933
0.7432 0.6259 0.4440
0.8010 0.2382 0.4076
0.2439 0.4512 0.9799
0.2596 0.0148 0.1639
0.4123 0.2070 0.7609
0.7782 0.8675 0.0258
0.0326 0.9556 0.0413
0.7788 0.0305 0.6537
0.8050 0.8362 0.3041
```

## Properties
Calculated density (g cm⁻³): 2.35
M_tot (μB per formula unit): 0.133
Volume (Å³/atom): 18.39
Formation energy from the elements (eV per atom): -1.81
Final energy (eV/atom): -7.337



6.
Here is a relaxed structure of V4O7 from Materials Project. Energies are from GGA+U.

```
V4O7
1.0
-4.2494 -4.7014 2.2303
1.5087 -4.2876 -4.9693
4.8131 -3.9338 1.6637
O V
14 8
direct
0.9340 0.9312 0.3499
0.6481 0.9565 0.6225
0.9229 0.7241 0.9836
0.6135 0.8180 0.2326
0.1349 0.4479 0.3565
0.8651 0.5521 0.6435
0.6360 0.2762 0.0339
0.3640 0.7238 0.9661
0.0660 0.0688 0.6501
0.3521 0.5828 0.6056
0.3865 0.1820 0.7674
0.0771 0.2759 0.0164
0.6479 0.4172 0.3944
0.3519 0.0435 0.3775
0.6386 0.0623 0.2887
0.1030 0.1842 0.3031
0.8970 0.8158 0.6969
0.3614 0.9377 0.7113
0.6000 0.3908 0.7144
0.1372 0.3571 0.7031
0.4000 0.6092 0.2856
0.8628 0.6429 0.2969
```

## Properties
Calculated density (g cm⁻³): 3.88
M_tot (μB per formula unit): 6.000
Volume (Å³/atom): 12.29
Formation energy from the elements (eV per atom): -2.34
Final energy (eV/atom): -7.735



7.
Here is a relaxed structure of V2O5 from Materials Project. Energies are from GGA+U.

```
V2O5
1.0
12.6373 -0.4045 0.6567
-0.3763 12.1674 -0.3653
0.6244 -0.3670 12.7268
O V
75 30
direct
0.9850 0.7229 0.3532
0.3639 0.9595 0.9524
0.6677 0.2263 0.1663
0.9733 0.2800 0.4837
0.9216 0.0369 0.5550
0.3859 0.0306 0.3234
0.7547 0.2751 0.7482
0.0317 0.1430 0.3187
0.8525 0.8833 0.7657
0.5701 0.2722 0.7063
0.5006 0.1125 0.8251
0.5884 0.5829 0.6403
0.5503 0.8964 0.3539
0.9378 0.7255 0.9082
0.2522 0.0426 0.8323
0.8744 0.9791 0.3243
0.8242 0.1919 0.3131
0.9990 0.5189 0.0761
0.8446 0.6101 0.0495
0.1164 0.3640 0.3364
0.1859 0.3618 0.5233
0.2904 0.4983 0.3804
0.7316 0.5378 0.2239
0.7791 0.6854 0.6804
0.6667 0.7257 0.0947
0.3330 0.6933 0.0344
0.6902 0.8194 0.5611
0.1332 0.8814 0.2367
0.4201 0.6011 0.8104
0.8822 0.1128 0.7994
0.7451 0.7038 0.8863
0.4326 0.2244 0.2184
0.3203 0.3974 0.1854
0.8167 0.0631 0.1330
0.4076 0.3227 0.4394
0.3489 0.8558 0.7679
0.9221 0.5063 0.2857
0.2005 0.7421 0.3817
0.0073 0.0281 0.1393
0.6754 0.2100 0.9136
0.1847 0.6335 0.6885
0.3617 0.2003 0.9836
0.4968 0.9330 0.5941
0.1957 0.6012 0.1992
0.0551 0.5488 0.4606
0.0643 0.5686 0.8686
0.2585 0.5069 0.9890
0.4165 0.6963 0.6052
0.4807 0.5261 0.0018
0.1218 0.1369 0.5119
0.6026 0.1234 0.3792
0.1665 0.9197 0.0164
0.6629 0.1155 0.9697
0.3288 0.2373 0.6258
0.0821 0.9045 0.4742
0.2410 0.0752 0.1619
0.0579 0.0043 0.7019
0.5814 0.0123 0.1738
0.8340 0.6017 0.4818
0.7675 0.9021 0.9871
0.0994 0.7060 0.0432
0.6763 0.3716 0.3741
0.6752 0.0587 0.6784
0.8889 0.8276 0.1018
0.9704 0.9831 0.9320
0.1542 0.8061 0.8369
0.3873 0.4657 0.6259
0.6285 0.5974 0.4250
0.7326 0.2322 0.5158
0.8369 0.3738 0.1153
0.9812 0.7023 0.7088
0.5910 0.8605 0.7593
0.2895 0.8729 0.5639
0.2551 0.2208 0.3418
0.5128 0.4631 0.2812
0.6343 0.4950 0.3256
0.9112 0.0871 0.2607
0.3299 0.1372 0.2589
0.3297 0.3429 0.5547
0.6245 0.9207 0.6498
0.9941 0.6274 0.9855
0.6992 0.6652 0.5481
0.8618 0.4998 0.1532
0.4550 0.5853 0.6713
0.2585 0.9117 0.8739
0.1371 0.9777 0.1377
0.2060 0.6211 0.0745
0.7058 0.2315 0.3958
0.1661 0.4582 0.4267
0.6789 0.1063 0.1078
0.7761 0.7393 0.0200
0.3853 0.8418 0.6288
0.0461 0.0216 0.5626
0.3784 0.3740 0.2884
0.3859 0.5781 0.9506
0.6439 0.1872 0.7605
0.9423 0.0004 0.7976
0.0796 0.2353 0.4204
0.8781 0.9501 0.0451
0.9458 0.5894 0.3974
0.8488 0.7378 0.7776
0.5294 0.0142 0.3119
0.0950 0.6821 0.7762
0.1034 0.8140 0.3617
0.3811 0.0993 0.8968
```

## Properties
Calculated density (g cm⁻³): 2.33
M_tot (μB per formula unit): 0.133
Volume (Å³/atom): 18.56
Formation energy from the elements (eV per atom): -1.78
Final energy (eV/atom): -7.313



8.
Here is a relaxed structure of V2O5 from Materials Project. Energies are from GGA+U.

```
V2O5
1.0
3.3250 0.0000 0.0000
0.0000 5.7213 0.0000
0.0000 0.0000 10.7131
O V
10 4
direct
0.0000 0.5307 0.2482
0.0000 0.0307 0.2518
0.5000 0.8190 0.4022
0.5000 0.1810 0.5978
0.0000 0.5000 0.5000
0.5000 0.3190 0.0978
0.5000 0.6810 0.9022
0.0000 0.9693 0.7482
0.0000 0.4693 0.7518
0.0000 0.0000 0.0000
0.0000 0.7038 0.3716
0.0000 0.7962 0.8716
0.0000 0.2038 0.1284
0.0000 0.2962 0.6284
```

## Properties
Calculated density (g cm⁻³): 2.96
M_tot (μB per formula unit): 0.001
Volume (Å³/atom): 14.56
Formation energy from the elements (eV per atom): -2.23
Final energy (eV/atom): -7.386